(1)
Computed, not measured: an optimized crystal structure of SrY2S4 at the PBE-GGA level of DFT.

Cell: 4.004 12.064 14.402 Å, 90.00 90.00 90.00°
Positions (direct):
Sr 0.250 0.258 0.838
Sr 0.750 0.742 0.162
Sr 0.250 0.758 0.662
Sr 0.750 0.242 0.338
Y 0.250 0.932 0.890
Y 0.750 0.068 0.110
Y 0.250 0.432 0.610
Y 0.750 0.568 0.390
Y 0.250 0.419 0.101
Y 0.750 0.581 0.899
Y 0.250 0.919 0.399
Y 0.750 0.081 0.601
S 0.250 0.130 0.473
S 0.750 0.870 0.527
S 0.250 0.630 0.027
S 0.750 0.370 0.973
S 0.750 0.793 0.825
S 0.250 0.207 0.175
S 0.750 0.293 0.675
S 0.250 0.707 0.325
S 0.750 0.086 0.922
S 0.250 0.914 0.078
S 0.750 0.586 0.578
S 0.250 0.414 0.422
S 0.750 0.478 0.216
S 0.250 0.522 0.784
S 0.750 0.978 0.284
S 0.250 0.022 0.716

Summary:
energy with MP2020 corrections = -6.8680 eV per atom
calculated volume = 696 Å³ per cell
polymorph energy (0 for the lowest one) = 0.000 eV/atom
E_form = -1631.3 kJ/mol of formula units
DFT total energy = -6.5806 eV per atom



(2)
Computed, not measured: an optimized crystal structure of SrY2S4 at the PBE-GGA level of DFT.

Cell: 7.397 7.397 7.397 Å, 109.40 109.40 109.61°
Positions (direct):
Sr 0.500 0.500 0.000
Sr 0.750 0.250 0.500
Y 0.625 0.995 0.870
Y 0.005 0.875 0.630
Y 0.125 0.755 0.130
Y 0.245 0.375 0.370
S 0.239 0.638 0.746
S 0.888 0.989 0.246
S 0.507 0.761 0.399
S 0.892 0.493 0.254
S 0.743 0.642 0.754
S 0.358 0.112 0.101
S 0.011 0.257 0.899
S 0.362 0.108 0.601

Summary:
magnetic moment = 0.000 μB per atom
energy with MP2020 corrections = -6.7960 eV per atom
calculated volume = 311 Å³ per cell
maximum piezoelectric response = 0.65 C/m²
polymorph energy (0 for the lowest one) = 0.072 eV/atom
E_form = -1582.7 kJ/mol of formula units
DFT total energy = -6.5086 eV per atom



(3)
Computed, not measured: an optimized crystal structure of SrZrS3 at the PBE-GGA level of DFT.

Cell: 3.846 8.606 14.068 Å, 90.00 90.00 90.00°
Positions (direct):
Sr 0.250 0.067 0.179
Sr 0.750 0.933 0.821
Sr 0.250 0.567 0.321
Sr 0.750 0.433 0.679
Zr 0.750 0.672 0.057
Zr 0.750 0.172 0.443
Zr 0.250 0.828 0.557
Zr 0.250 0.328 0.943
S 0.750 0.663 0.486
S 0.250 0.206 0.784
S 0.250 0.484 0.106
S 0.250 0.984 0.394
S 0.250 0.337 0.514
S 0.750 0.016 0.606
S 0.750 0.163 0.014
S 0.250 0.706 0.716
S 0.750 0.294 0.284
S 0.750 0.794 0.216
S 0.250 0.837 0.986
S 0.750 0.516 0.894

Summary:
energy with MP2020 corrections = -6.6073 eV per atom
calculated volume = 466 Å³ per cell
E_form = -1002.5 kJ/mol of formula units
DFT total energy = -6.3055 eV per atom



(4)
Computed, not measured: an optimized crystal structure of SrZrS3 at the PBE-GGA level of DFT.

Cell: 6.792 7.184 9.846 Å, 90.00 90.00 90.00°
Positions (direct):
Sr 0.475 0.080 0.250
Sr 0.975 0.420 0.750
Sr 0.025 0.580 0.250
Sr 0.525 0.920 0.750
Zr 0.000 0.000 0.000
Zr 0.500 0.500 0.000
Zr 0.500 0.500 0.500
Zr 0.000 0.000 0.500
S 0.402 0.520 0.750
S 0.902 0.980 0.250
S 0.098 0.020 0.750
S 0.598 0.480 0.250
S 0.192 0.303 0.051
S 0.692 0.197 0.949
S 0.308 0.803 0.449
S 0.808 0.697 0.551
S 0.192 0.303 0.449
S 0.692 0.197 0.551
S 0.308 0.803 0.051
S 0.808 0.697 0.949

Summary:
energy with MP2020 corrections = -6.6083 eV per atom
calculated volume = 480 Å³ per cell
E_form = -1002.9 kJ/mol of formula units
DFT total energy = -6.3065 eV per atom



(5)
Computed, not measured: an optimized crystal structure of TaS at the PBE-GGA level of DFT.

Cell: 3.281 3.281 3.333 Å, 90.00 90.00 120.00°
Positions (direct):
Ta 0.667 0.333 0.000
S 0.000 0.000 0.500

Summary:
magnetic moment = 0.000 μB per atom
energy with MP2020 corrections = -8.9205 eV per atom
calculated volume = 31 Å³ per cell
E_form = -178.2 kJ/mol of formula units
DFT total energy = -8.6690 eV per atom



(6)
Computed, not measured: an optimized crystal structure of TaS2 at the PBE-GGA level of DFT.

Cell: 3.343 3.343 23.614 Å, 90.00 90.00 119.98°
Positions (direct):
Ta 0.918 0.082 0.250
Ta 0.082 0.918 0.750
S 0.749 0.251 0.684
S 0.749 0.251 0.816
S 0.251 0.749 0.316
S 0.251 0.749 0.184

Summary:
energy with MP2020 corrections = -8.0910 eV per atom
calculated volume = 229 Å³ per cell
E_form = -399.7 kJ/mol of formula units
DFT total energy = -7.7557 eV per atom



(7)
Computed, not measured: an optimized crystal structure of TaS2 at the PBE-GGA level of DFT.

Cell: 3.342 3.343 11.614 Å, 85.88 81.73 60.00°
Positions (direct):
Ta 0.076 0.849 0.000
S 0.674 0.516 0.136
S 0.810 0.516 0.864

Summary:
energy with MP2020 corrections = -8.0910 eV per atom
calculated volume = 111 Å³ per cell
E_form = -399.7 kJ/mol of formula units
DFT total energy = -7.7557 eV per atom



(8)
Computed, not measured: an optimized crystal structure of Ta5S8 at the PBE-GGA level of DFT.

Cell: 13.176 13.176 5.793 Å, 78.55 78.55 14.26°
Positions (direct):
Ta 0.374 0.374 0.633
Ta 0.873 0.873 0.124
Ta 0.626 0.626 0.367
Ta 0.127 0.127 0.876
Ta 0.000 0.000 0.000
S 0.937 0.937 0.737
S 0.437 0.437 0.241
S 0.563 0.563 0.759
S 0.063 0.063 0.263
S 0.687 0.687 0.648
S 0.188 0.188 0.149
S 0.812 0.812 0.851
S 0.313 0.313 0.352

Summary:
energy with MP2020 corrections = -8.4648 eV per atom
calculated volume = 243 Å³ per cell
E_form = -1704.1 kJ/mol of formula units
DFT total energy = -8.1553 eV per atom



(9)
Computed, not measured: an optimized crystal structure of TaS2 at the PBE-GGA level of DFT.

Cell: 3.344 3.344 7.089 Å, 76.36 76.36 60.00°
Positions (direct):
Ta 0.833 0.833 0.500
S 0.424 0.424 0.729
S 0.576 0.576 0.271

Summary:
energy with MP2020 corrections = -8.0940 eV per atom
calculated volume = 66 Å³ per cell
E_form = -400.5 kJ/mol of formula units
DFT total energy = -7.7586 eV per atom



(10)
Computed, not measured: an optimized crystal structure of TaS3 at the PBE-GGA level of DFT.

Cell: 3.364 10.057 15.095 Å, 70.76 90.00 90.00°
Positions (direct):
Ta 0.750 0.635 0.883
Ta 0.250 0.365 0.117
Ta 0.750 0.681 0.205
Ta 0.250 0.319 0.795
Ta 0.750 0.307 0.540
Ta 0.250 0.693 0.460
S 0.750 0.559 0.065
S 0.250 0.441 0.935
S 0.750 0.187 0.097
S 0.250 0.813 0.903
S 0.750 0.212 0.231
S 0.250 0.788 0.769
S 0.750 0.187 0.911
S 0.250 0.813 0.089
S 0.750 0.199 0.721
S 0.250 0.801 0.279
S 0.750 0.518 0.754
S 0.250 0.482 0.246
S 0.750 0.890 0.432
S 0.250 0.110 0.568
S 0.750 0.551 0.407
S 0.250 0.449 0.593
S 0.750 0.748 0.568
S 0.250 0.252 0.432

Summary:
energy with MP2020 corrections = -7.2434 eV per atom
calculated volume = 482 Å³ per cell
E_form = -454.1 kJ/mol of formula units
DFT total energy = -6.8662 eV per atom



(11)
Computed, not measured: an optimized crystal structure of TaS2 at the PBE-GGA level of DFT.

Cell: 12.945 12.945 12.945 Å, 14.97 14.97 14.97°
Positions (direct):
Ta 0.917 0.917 0.917
Ta 0.083 0.083 0.083
S 0.790 0.790 0.790
S 0.210 0.210 0.210
S 0.624 0.624 0.624
S 0.376 0.376 0.376

Summary:
energy with MP2020 corrections = -8.0732 eV per atom
calculated volume = 126 Å³ per cell
E_form = -394.5 kJ/mol of formula units
DFT total energy = -7.7379 eV per atom



(12)
Computed, not measured: an optimized crystal structure of Ta6S at the PBE-GGA level of DFT.

Cell: 7.601 7.601 14.893 Å, 63.81 63.81 40.94°
Positions (direct):
Ta 0.680 0.998 0.546
Ta 0.002 0.320 0.954
Ta 0.320 0.002 0.454
Ta 0.998 0.680 0.046
Ta 0.274 0.599 0.594
Ta 0.401 0.726 0.906
Ta 0.726 0.401 0.406
Ta 0.599 0.274 0.094
Ta 0.890 0.182 0.826
Ta 0.818 0.110 0.674
Ta 0.110 0.818 0.174
Ta 0.182 0.890 0.326
Ta 0.063 0.358 0.603
Ta 0.642 0.937 0.897
Ta 0.937 0.642 0.397
Ta 0.358 0.063 0.103
Ta 0.425 0.787 0.683
Ta 0.213 0.575 0.817
Ta 0.575 0.213 0.317
Ta 0.787 0.425 0.183
Ta 0.655 0.841 0.248
Ta 0.159 0.345 0.252
Ta 0.345 0.159 0.752
Ta 0.841 0.655 0.748
S 0.307 0.476 0.456
S 0.524 0.693 0.044
S 0.693 0.524 0.544
S 0.476 0.307 0.956

Summary:
energy with MP2020 corrections = -11.0915 eV per atom
calculated volume = 497 Å³ per cell
polymorph energy (0 for the lowest one) = 0.000 eV/atom
E_form = -227.4 kJ/mol of formula units
DFT total energy = -11.0196 eV per atom



- Which of these has the lowest E_form?
  Ta5S8



- Which of these has the lowest E_form?
  Ta5S8



- Look up the E_form of the ninth one.
  -400.5 kJ/mol of formula units